## LiMnO4 (GGA+U)

Data for an optimized crystal structure of LiMnO4.

Lattice parameters (Å, degrees): 5.5418 8.5047 6.5827 90.00 90.00 90.00
Space group Cmcm (No. 63)
Unique sites:
Li (0.0000, 0.0000, 0.0000) [4 per cell]
Mn (0.0000, 0.3542, 0.2500) [4 per cell]
O (0.0000, 0.2451, 0.0509) [8 per cell]
O (0.2413, 0.4645, 0.2500) [8 per cell]



## Li3V3P8O29 (GGA+U)

Data for an optimized crystal structure of Li3V3P8O29.

Properties
Energy relative to the lowest polymorph listed for this composition   15.8 meV per atom

Lattice parameters (Å, degrees): 16.9475 9.7936 14.2749 90.00 90.84 90.00
Space group C2 (No. 5)
Unique sites:
Li (0.0403, 0.0000, 0.1962) [4 per cell]
Li (0.1525, 0.3341, 0.8060) [4 per cell]
Li (0.1594, 0.1979, 0.3130) [4 per cell]
V (0.0000, 0.6951, 0.5000) [2 per cell]
V (0.0000, 0.8236, 0.0000) [2 per cell]
V (0.2144, 0.4833, 0.0069) [4 per cell]
V (0.2157, 0.0431, 0.5082) [4 per cell]
P (0.0418, 0.5331, 0.9082) [4 per cell]
P (0.0441, 0.9897, 0.4106) [4 per cell]
P (0.1120, 0.4652, 0.4113) [4 per cell]
P (0.1133, 0.0618, 0.9109) [4 per cell]
P (0.1609, 0.1886, 0.0919) [4 per cell]
P (0.1608, 0.3386, 0.5916) [4 per cell]
P (0.1684, 0.7585, 0.6199) [4 per cell]
P (0.1690, 0.7707, 0.1184) [4 per cell]
O (0.0000, 0.0540, 0.5000) [2 per cell]
O (0.0000, 0.4718, 0.0000) [2 per cell]
O (0.9998, 0.5032, 0.1804) [4 per cell]
O (0.0048, 0.0247, 0.3199) [4 per cell]
O (0.0410, 0.9647, 0.9106) [4 per cell]
O (0.0417, 0.5652, 0.4153) [4 per cell]
O (0.0467, 0.6920, 0.9307) [4 per cell]
O (0.0474, 0.8339, 0.4291) [4 per cell]
O (0.0925, 0.8439, 0.0763) [4 per cell]
O (0.0928, 0.6915, 0.5746) [4 per cell]
O (0.1021, 0.1483, 0.0069) [4 per cell]
O (0.1018, 0.3775, 0.5067) [4 per cell]
O (0.1162, 0.3747, 0.3288) [4 per cell]
O (0.1176, 0.1532, 0.8288) [4 per cell]
O (0.1253, 0.1438, 0.1820) [4 per cell]
O (0.1284, 0.0525, 0.4164) [4 per cell]
O (0.1276, 0.3766, 0.6827) [4 per cell]
O (0.1275, 0.4746, 0.9163) [4 per cell]
O (0.1683, 0.6198, 0.0746) [4 per cell]
O (0.1693, 0.7671, 0.7237) [4 per cell]
O (0.1688, 0.7699, 0.2221) [4 per cell]
O (0.1690, 0.9108, 0.5760) [4 per cell]
O (0.1718, 0.3455, 0.0827) [4 per cell]
O (0.1730, 0.1816, 0.5796) [4 per cell]
O (0.1900, 0.5500, 0.4258) [4 per cell]
O (0.1909, 0.9775, 0.9267) [4 per cell]
O (0.2403, 0.1179, 0.0710) [4 per cell]
O (0.2401, 0.4094, 0.5694) [4 per cell]
O (0.2430, 0.6861, 0.5806) [4 per cell]
O (0.2434, 0.8418, 0.0769) [4 per cell]



In the order shown, the computed energy relative to the elements values come out to -1.40 -2.52 eV/atom.
In the order shown, the computed M_tot values come out to 0.0 0.0 Bohr magnetons per cell.